The following is a meta-GGA r2SCAN calculation of a geometry-optimized Tm2TeO2 structure, from the Materials Project database.

Results
The value obtained for the formation energy is -3.222 eV per atom. As for the total magnetic moment: 0.0 Bohr magnetons per cell.

a b c (Å): 3.8311 3.8311 7.0864
angles (deg): 90.00 90.00 120.00
With the nearest neighbours (Å) after each atom.
Fractional positions:
Tm: 0.3333 0.6667 0.3069  4 O 2.21-2.27
Tm: 0.6666 0.3333 0.6931  4 O 2.21-2.27
O: 0.3333 0.6667 0.6187  4 Tm 2.21-2.27
O: 0.6666 0.3333 0.3813  4 Tm 2.21-2.27
Te: 0.0000 0.0000 0.0000  6 Tm 3.10